(1)
Here is an optimized crystal structure of NbIr3 from Materials Project. Energies are from PBE.

```
NbIr3
1.0
-1.839 2.444 4.683
-2.266 -4.817 -1.716
3.044 -2.282 2.387
Nb Ir
2 6
Direct
0.667 0.333 0.250
0.333 0.667 0.750
0.328 0.164 0.750
0.164 0.836 0.250
0.164 0.328 0.250
0.836 0.672 0.750
0.836 0.164 0.750
0.672 0.836 0.250
```

Output
For the density, the calculation gives 18.28 g cm⁻³. As for the symmetry: P6_3/mmc (194). As for the energy of formation from the pure elements: -2.4 eV per formula unit. The value obtained for the total DFT energy (no corrections) is -9.77 eV per atom.

---

(2)
Here is an optimized crystal structure of Nb3IrS8 from Materials Project. Energies are from PBE.

```
Nb3IrS8
1.0
3.380 5.814 0.000
-3.380 5.814 0.000
0.000 5.714 12.728
Nb S Ir
6 16 2
Direct
0.857 0.143 0.750
0.842 0.633 0.749
0.143 0.857 0.250
0.633 0.842 0.249
0.158 0.367 0.251
0.367 0.158 0.751
0.968 0.248 0.871
0.464 0.739 0.869
0.781 0.515 0.619
0.485 0.219 0.881
0.019 0.723 0.853
0.752 0.032 0.629
0.723 0.019 0.353
0.261 0.536 0.631
0.219 0.485 0.381
0.032 0.752 0.129
0.515 0.781 0.119
0.248 0.968 0.371
0.277 0.981 0.647
0.981 0.277 0.147
0.739 0.464 0.369
0.536 0.261 0.131
0.416 0.584 0.750
0.584 0.416 0.250
```

Output
For the density, the calculation gives 4.83 g cm⁻³. As for the energy above the most stable polymorph in this dataset: 0 meV per atom. As for the symmetry: C2/c (15). As for the energy of formation from the pure elements: -14.0 eV per formula unit. The total magnetization comes out at 0.00 μB per atom. The value obtained for the total DFT energy (no corrections) is -6.85 eV per atom.

---

(3)
Here is an optimized crystal structure of Nb15IrS32 from Materials Project. Energies are from PBE.

```
Nb15IrS32
1.0
-8.652 2.412 -0.495
-0.002 -6.306 -6.443
1.471 -6.630 11.831
S Nb Ir
32 15 1
Direct
0.644 0.152 0.131
0.018 0.274 0.124
0.982 0.732 0.884
0.105 0.101 0.867
0.229 0.470 0.867
0.519 0.769 0.121
0.142 0.639 0.126
0.768 0.522 0.132
0.473 0.226 0.866
0.468 0.732 0.376
0.849 0.845 0.373
0.651 0.653 0.636
0.353 0.854 0.879
0.400 0.398 0.132
0.225 0.981 0.375
0.734 0.486 0.380
0.013 0.764 0.621
0.855 0.348 0.875
0.731 0.984 0.874
0.154 0.142 0.626
0.974 0.222 0.370
0.395 0.876 0.608
0.608 0.112 0.376
0.896 0.391 0.625
0.269 0.015 0.121
0.279 0.526 0.623
0.352 0.353 0.368
0.127 0.605 0.389
0.605 0.609 0.879
0.525 0.281 0.631
0.767 0.026 0.626
0.892 0.892 0.115
0.141 0.371 0.000
0.725 0.755 0.500
0.612 0.395 0.499
0.374 0.134 0.999
0.732 0.252 0.999
0.884 0.113 0.500
0.014 0.023 0.002
0.251 0.251 0.499
0.002 0.474 0.503
0.499 0.491 0.000
0.627 0.899 0.001
0.500 0.030 0.499
0.861 0.601 0.997
0.113 0.867 0.503
0.245 0.722 0.998
0.398 0.612 0.500
```

Output
For the density, the calculation gives 4.39 g cm⁻³. As for the energy above the most stable polymorph in this dataset: 0 meV per atom. As for the symmetry: P1 (1). As for the energy of formation from the pure elements: -61.0 eV per formula unit. The total magnetization comes out at 0.00 μB per atom. The value obtained for the total DFT energy (no corrections) is -7.03 eV per atom.

---

(4)
Here is an optimized crystal structure of Nb15IrS32 from Materials Project. Energies are from PBE.

```
Nb15IrS32
1.0
6.752 5.878 0.000
-6.752 5.878 0.000
0.000 5.875 12.704
S Nb Ir
32 15 1
Direct
0.648 0.389 0.621
0.897 0.648 0.121
0.729 0.225 0.877
0.976 0.474 0.381
0.021 0.021 0.125
0.775 0.271 0.123
0.103 0.352 0.879
0.979 0.979 0.875
0.906 0.139 0.623
0.611 0.352 0.379
0.474 0.976 0.381
0.729 0.729 0.374
0.271 0.271 0.626
0.094 0.861 0.377
0.139 0.906 0.623
0.148 0.398 0.122
0.777 0.777 0.616
0.526 0.024 0.619
0.223 0.223 0.384
0.352 0.611 0.379
0.352 0.103 0.879
0.225 0.729 0.877
0.476 0.476 0.882
0.389 0.648 0.621
0.602 0.852 0.878
0.648 0.897 0.121
0.524 0.524 0.118
0.861 0.094 0.377
0.398 0.148 0.122
0.852 0.602 0.878
0.024 0.526 0.619
0.271 0.775 0.123
0.882 0.118 0.000
0.614 0.856 0.502
0.366 0.634 0.000
0.500 0.500 0.500
0.747 0.747 0.000
0.500 0.000 0.000
0.856 0.614 0.502
0.144 0.386 0.498
0.774 0.226 0.500
0.253 0.253 0.000
0.000 0.500 0.000
0.118 0.882 0.000
0.386 0.144 0.498
0.634 0.366 0.000
0.226 0.774 0.500
0.000 0.000 0.500
```

Output
For the density, the calculation gives 4.30 g cm⁻³. As for the energy above the most stable polymorph in this dataset: 2 meV per atom. As for the symmetry: C2/m (12). As for the energy of formation from the pure elements: -60.9 eV per formula unit. The total magnetization comes out at 0.00 μB per atom. The value obtained for the total DFT energy (no corrections) is -7.03 eV per atom.

---

(5)
Here is an optimized crystal structure of Nb3IrS8 from Materials Project. Energies are from PBE.

```
Nb3IrS8
1.0
2.973 -5.988 -0.495
4.570 -1.857 4.539
-0.758 -6.454 5.537
S Nb Ir
8 3 1
Direct
0.553 0.039 0.246
0.039 0.553 0.246
0.961 0.447 0.754
0.447 0.961 0.754
0.543 0.543 0.248
0.457 0.457 0.752
0.039 0.039 0.247
0.961 0.961 0.753
0.500 0.000 0.000
0.000 0.500 0.000
0.500 0.500 0.000
0.000 0.000 0.000
```

Output
For the density, the calculation gives 4.95 g cm⁻³. As for the energy above the most stable polymorph in this dataset: 55 meV per atom. As for the symmetry: C2/m (12). As for the energy of formation from the pure elements: -13.4 eV per formula unit. The total magnetization comes out at 0.00 μB per atom. The value obtained for the total DFT energy (no corrections) is -6.80 eV per atom.

---

(6)
Here is an optimized crystal structure of NbIrS4 from Materials Project. Energies are from PBE.

```
NbIrS4
1.0
1.751 6.741 0.000
-1.751 6.741 0.000
0.000 2.115 5.178
S Ir Nb
4 1 1
Direct
0.378 0.378 0.946
0.884 0.884 0.462
0.622 0.622 0.054
0.116 0.116 0.538
0.500 0.500 0.500
0.000 0.000 0.000
```

Output
For the density, the calculation gives 5.62 g cm⁻³. As for the symmetry: C2/m (12). As for the energy of formation from the pure elements: -5.6 eV per formula unit. The total magnetization comes out at 0.00 μB per atom. The value obtained for the total DFT energy (no corrections) is -6.52 eV per atom.

---

(7)
Here is an optimized crystal structure of Nb9IrSe20 from Materials Project. Energies are from PBE.

```
Nb9IrSe20
1.0
6.907 0.000 0.000
3.417 9.089 0.000
1.721 1.054 11.356
Se Nb Ir
20 9 1
Direct
0.349 0.118 0.374
0.048 0.690 0.429
0.351 0.279 0.042
0.142 0.733 0.956
0.952 0.310 0.571
0.153 0.879 0.626
0.237 0.931 0.163
0.248 0.070 0.837
0.448 0.490 0.237
0.946 0.491 0.237
0.847 0.121 0.374
0.054 0.509 0.763
0.752 0.930 0.163
0.552 0.510 0.763
0.763 0.069 0.837
0.548 0.691 0.430
0.649 0.721 0.958
0.858 0.267 0.044
0.651 0.882 0.626
0.452 0.309 0.570
0.909 0.783 0.781
0.304 0.591 0.590
0.091 0.217 0.219
0.194 0.409 0.410
0.696 0.409 0.410
0.589 0.216 0.217
0.411 0.784 0.783
0.806 0.591 0.590
0.500 0.000 0.000
0.000 0.000 0.000
```

Output
For the density, the calculation gives 6.07 g cm⁻³. As for the symmetry: P-1 (2). As for the energy of formation from the pure elements: -31.9 eV per formula unit. The total magnetization comes out at 0.00 μB per atom. The value obtained for the total DFT energy (no corrections) is -6.40 eV per atom.

---

(8)
Here is an optimized crystal structure of Nb3IrSe8 from Materials Project. Energies are from PBE.

```
Nb3IrSe8
1.0
3.487 6.017 0.000
-3.487 6.017 0.000
0.000 5.986 13.621
Nb Se Ir
6 16 2
Direct
0.369 0.092 0.752
0.103 0.897 0.250
0.092 0.369 0.252
0.631 0.908 0.248
0.908 0.631 0.748
0.897 0.103 0.750
0.423 0.630 0.352
0.391 0.171 0.369
0.663 0.878 0.874
0.900 0.132 0.385
0.630 0.423 0.852
0.829 0.609 0.131
0.878 0.663 0.374
0.132 0.900 0.885
0.122 0.337 0.626
0.100 0.868 0.615
0.868 0.100 0.115
0.370 0.577 0.148
0.577 0.370 0.648
0.171 0.391 0.869
0.337 0.122 0.126
0.609 0.829 0.631
0.674 0.326 0.250
0.326 0.674 0.750
```

Output
For the density, the calculation gives 6.41 g cm⁻³. As for the energy above the most stable polymorph in this dataset: 0 meV per atom. As for the symmetry: C2/c (15). As for the energy of formation from the pure elements: -12.2 eV per formula unit. The value obtained for the total DFT energy (no corrections) is -6.30 eV per atom.

---

(9)
Here is an optimized crystal structure of Nb3IrSe8 from Materials Project. Energies are from PBE.

```
Nb3IrSe8
1.0
-2.751 0.295 6.394
-0.219 -5.717 3.976
11.240 0.606 10.261
Se Nb Ir
16 6 2
Direct
0.259 0.525 0.131
0.549 0.757 0.599
0.726 0.489 0.885
0.697 0.955 0.901
0.982 0.217 0.369
0.031 0.791 0.619
0.018 0.297 0.615
0.238 0.476 0.881
0.757 0.549 0.099
0.489 0.726 0.385
0.955 0.697 0.401
0.791 0.031 0.119
0.217 0.982 0.869
0.297 0.018 0.115
0.476 0.238 0.381
0.525 0.259 0.631
0.030 0.216 0.998
0.492 0.286 0.002
0.286 0.492 0.502
0.019 0.754 0.000
0.754 0.019 0.500
0.216 0.030 0.498
0.752 0.450 0.500
0.450 0.752 0.000
```

Output
For the density, the calculation gives 6.19 g cm⁻³. As for the energy above the most stable polymorph in this dataset: 0 meV per atom. As for the symmetry: Cc (9). As for the energy of formation from the pure elements: -12.2 eV per formula unit. The value obtained for the total DFT energy (no corrections) is -6.30 eV per atom.

---

(10)
Here is an optimized crystal structure of Nb17Ir3Se40 from Materials Project. Energies are from PBE.

```
Nb17Ir3Se40
1.0
1.767 19.977 0.000
-1.767 19.977 0.000
0.000 17.625 20.347
Se Nb Ir
40 17 3
Direct
0.035 0.035 0.772
0.168 0.168 0.517
0.033 0.033 0.032
0.966 0.966 0.720
0.565 0.565 0.868
0.164 0.164 0.282
0.434 0.434 0.373
0.566 0.566 0.627
0.233 0.233 0.582
0.027 0.027 0.536
0.432 0.432 0.883
0.368 0.368 0.578
0.368 0.368 0.817
0.636 0.636 0.915
0.766 0.766 0.927
0.965 0.965 0.228
0.832 0.832 0.483
0.435 0.435 0.132
0.967 0.967 0.968
0.632 0.632 0.183
0.165 0.165 0.020
0.563 0.563 0.372
0.636 0.636 0.677
0.767 0.767 0.167
0.233 0.233 0.833
0.973 0.973 0.464
0.034 0.034 0.280
0.364 0.364 0.323
0.632 0.632 0.422
0.169 0.169 0.783
0.234 0.234 0.073
0.836 0.836 0.718
0.835 0.835 0.980
0.767 0.767 0.418
0.765 0.765 0.670
0.831 0.831 0.217
0.235 0.235 0.330
0.437 0.437 0.628
0.364 0.364 0.085
0.568 0.568 0.117
0.911 0.911 0.092
0.705 0.705 0.545
0.711 0.711 0.289
0.913 0.913 0.587
0.308 0.308 0.942
0.492 0.492 0.758
0.508 0.508 0.242
0.100 0.100 0.150
0.692 0.692 0.058
0.289 0.289 0.711
0.892 0.892 0.359
0.295 0.295 0.455
0.089 0.089 0.908
0.108 0.108 0.641
0.087 0.087 0.413
0.500 0.500 0.000
0.900 0.900 0.850
0.291 0.291 0.206
0.709 0.709 0.794
0.500 0.500 0.500
```

Output
For the density, the calculation gives 6.14 g cm⁻³. As for the symmetry: C2/m (12). As for the energy of formation from the pure elements: -58.8 eV per formula unit. The total magnetization comes out at 0.00 μB per atom. The value obtained for the total DFT energy (no corrections) is -6.30 eV per atom.

---

(11)
Here is an optimized crystal structure of Nb3Ir2Se10 from Materials Project. Energies are from PBE.

```
Nb3Ir2Se10
1.0
-3.160 -2.768 3.997
5.038 -5.899 -0.138
3.338 7.640 4.024
Nb Se Ir
3 10 2
Direct
0.664 0.357 0.352
0.500 0.000 0.000
0.336 0.643 0.648
0.310 0.543 0.317
0.465 0.036 0.293
0.103 0.133 0.909
0.911 0.720 0.507
0.731 0.341 0.089
0.535 0.964 0.707
0.089 0.280 0.493
0.897 0.867 0.091
0.690 0.457 0.683
0.269 0.659 0.911
0.888 0.793 0.793
0.112 0.207 0.207
```

Output
For the density, the calculation gives 6.67 g cm⁻³. As for the symmetry: P-1 (2). As for the energy of formation from the pure elements: -13.6 eV per formula unit. The total magnetization comes out at 0.00 μB per atom. The value obtained for the total DFT energy (no corrections) is -6.12 eV per atom.

---

(12)
Here is an optimized crystal structure of Nb3IrSe8 from Materials Project. Energies are from PBE.

```
Nb3IrSe8
1.0
3.423 5.923 0.000
-3.423 5.923 0.000
0.000 5.897 6.833
Ir Se Nb
1 8 3
Direct
0.000 0.000 0.000
0.555 0.038 0.248
0.543 0.543 0.249
0.457 0.457 0.751
0.963 0.963 0.752
0.962 0.445 0.752
0.445 0.962 0.752
0.037 0.037 0.248
0.038 0.555 0.248
0.000 0.500 0.000
0.500 0.500 0.000
0.500 0.000 0.000
```

Output
For the density, the calculation gives 6.61 g cm⁻³. As for the energy above the most stable polymorph in this dataset: 60 meV per atom. As for the symmetry: C2/m (12). As for the energy of formation from the pure elements: -11.5 eV per formula unit. The total magnetization comes out at 0.00 μB per atom. The value obtained for the total DFT energy (no corrections) is -6.24 eV per atom.

---

(13)
Here is an optimized crystal structure of NbSiIr from Materials Project. Energies are from PBE.

```
NbSiIr
1.0
-1.237 -1.564 3.255
5.969 0.390 2.456
-1.519 6.677 2.631
Si Ir Nb
4 4 4
Direct
0.750 0.770 0.125
0.250 0.730 0.625
0.750 0.270 0.375
0.250 0.230 0.875
0.250 0.854 0.937
0.750 0.146 0.063
0.750 0.646 0.437
0.250 0.354 0.563
0.250 0.476 0.172
0.250 0.976 0.328
0.750 0.024 0.672
0.750 0.524 0.828
```

Output
For the density, the calculation gives 11.49 g cm⁻³. As for the symmetry: Pnma (62). As for the energy of formation from the pure elements: -2.6 eV per formula unit. The value obtained for the total DFT energy (no corrections) is -8.98 eV per atom.